The following is a DFT calculation (r²SCAN) of a relaxed structure of EuPt2.

Summary:
Magnetization (Bohr magnetons per cell): 13.94
Raw total energy (eV/atom): -48.233
Symmetry: No. 227
DFT formation energy (meV/atom): -1067

Cell lengths 5.482, 5.482, 5.482 Å; angles 60.00, 60.00, 60.00 degrees
Sites, in units of the cell vectors:
1 Eu 0.125 0.125 0.125
2 Eu 0.875 0.875 0.875
3 Pt 0.000 0.500 0.500
4 Pt 0.500 0.000 0.500
5 Pt 0.500 0.500 0.000
6 Pt 0.500 0.500 0.500


The following is a DFT calculation (r²SCAN) of a relaxed structure of Eu5Pt2.

Summary:
Magnetization (Bohr magnetons per cell): 44.13
Raw total energy (eV/atom): -42.960
Symmetry: No. 15
DFT formation energy (meV/atom): -734

Cell lengths 8.983, 8.983, 7.749 Å; angles 96.73, 96.73, 45.05 degrees
Sites, in units of the cell vectors:
1 Eu 0.071 0.929 0.750
2 Eu 0.142 0.295 0.320
3 Eu 0.295 0.142 0.820
4 Eu 0.303 0.515 0.081
5 Eu 0.485 0.697 0.419
6 Eu 0.515 0.303 0.581
7 Eu 0.697 0.485 0.919
8 Eu 0.705 0.858 0.180
9 Eu 0.858 0.705 0.680
10 Eu 0.929 0.071 0.250
11 Pt 0.102 0.680 0.419
12 Pt 0.320 0.898 0.081
13 Pt 0.680 0.102 0.919
14 Pt 0.898 0.320 0.581


The following is a DFT calculation (r²SCAN) of a relaxed structure of EuSi2Pt2.

Summary:
Magnetization (Bohr magnetons per cell): 7.08
Raw total energy (eV/atom): -32.806
Symmetry: No. 139
DFT formation energy (meV/atom): -997

Cell lengths 5.816, 5.816, 5.816 Å; angles 137.25, 137.25, 62.06 degrees
Sites, in units of the cell vectors:
1 Eu 0.000 0.000 0.000
2 Si 0.376 0.376 0.000
3 Si 0.624 0.624 0.000
4 Pt 0.250 0.750 0.500
5 Pt 0.750 0.250 0.500


The following is a DFT calculation (r²SCAN) of a relaxed structure of YbEuPt2.

Summary:
Magnetization (Bohr magnetons per cell): 6.96
Raw total energy (eV/atom): -45.651
Symmetry: No. 225
DFT formation energy (meV/atom): -1144

Cell lengths 4.932, 4.932, 4.932 Å; angles 60.00, 60.00, 60.00 degrees
Sites, in units of the cell vectors:
1 Yb 0.000 0.000 0.000
2 Eu 0.500 0.500 0.500
3 Pt 0.250 0.250 0.250
4 Pt 0.750 0.750 0.750